# 1
DFT (PBE) results for a geometry-optimized Mg2H6Os structure.

## Properties
- Calculated volume: 8.28 Å³/atom
- E_form: -0.32 eV/atom

Lattice parameters (Å, degrees): 4.7237 4.7237 4.7237 60.00 60.00 60.00
Closest atoms and distances in Å follow each position.
Element x y z (fractional)
Mg 0.2500 0.2500 0.2500  12 H 2.36
Mg 0.7500 0.7500 0.7500  12 H 2.36
H 0.2463 0.2463 0.7537  1 Os 1.70
H 0.2463 0.7537 0.2463  1 Os 1.70
H 0.2463 0.7537 0.7537  1 Os 1.70
H 0.7537 0.2463 0.2463  1 Os 1.70
H 0.7537 0.2463 0.7537  1 Os 1.70
H 0.7537 0.7537 0.2463  1 Os 1.70
Os 0.5000 0.5000 0.5000  6 H 1.70

=====

# 2
DFT (PBE) results for a geometry-optimized Rb2MgH4 structure.

## Properties
- Calculated volume: 37.42 Å³/atom
- E_form: -0.17 eV/atom
- Size of the total moment: 0.00 μB/cell
- Total energy after the MP2020 corrections: -73.3 eV per cell

Lattice parameters (Å, degrees): 10.8324 7.3163 13.2220 90.00 90.00 90.00
Closest atoms and distances in Å follow each position.
Element x y z (fractional)
Rb 0.0683 0.2500 0.1839  3 H 2.65-2.80
Rb 0.1178 0.7500 0.4408  3 H 2.67-2.68
Rb 0.3822 0.2500 0.9408  3 H 2.67-2.68
Rb 0.4317 0.7500 0.6839  3 H 2.65-2.80
Rb 0.5683 0.2500 0.3161  3 H 2.65-2.80
Rb 0.6178 0.7500 0.0592  3 H 2.67-2.68
Rb 0.8822 0.2500 0.5592  3 H 2.67-2.68
Rb 0.9317 0.7500 0.8161  3 H 2.65-2.80
Mg 0.2271 0.2500 0.4275  4 H 1.84-1.88
Mg 0.2729 0.7500 0.9275  4 H 1.84-1.88
Mg 0.7271 0.2500 0.0725  4 H 1.84-1.88
Mg 0.7729 0.7500 0.5725  4 H 1.84-1.88
H 0.1067 0.7500 0.9559  1 Mg 1.84
H 0.1289 0.2500 0.5423  1 Mg 1.85
H 0.1790 0.0563 0.3429  1 Mg 1.88
H 0.1790 0.4437 0.3429  1 Mg 1.88
H 0.3210 0.5563 0.8429  1 Mg 1.88
H 0.3210 0.9437 0.8429  1 Mg 1.88
H 0.3711 0.7500 0.0423  1 Mg 1.85
H 0.3933 0.2500 0.4559  1 Mg 1.84
H 0.6067 0.7500 0.5441  1 Mg 1.84
H 0.6289 0.2500 0.9577  1 Mg 1.85
H 0.6790 0.0563 0.1571  1 Mg 1.88
H 0.6790 0.4437 0.1571  1 Mg 1.88
H 0.8210 0.5563 0.6571  1 Mg 1.88
H 0.8210 0.9437 0.6571  1 Mg 1.88
H 0.8711 0.7500 0.4577  1 Mg 1.85
H 0.8933 0.2500 0.0441  1 Mg 1.84

=====

# 3
DFT (PBE) results for a geometry-optimized Rb2MgH4 structure.

## Properties
- Calculated volume: 21.23 Å³/atom
- E_form: -0.30 eV/atom
- Size of the total moment: 0.00 μB/cell
- Total energy after the MP2020 corrections: -76.9 eV per cell

Lattice parameters (Å, degrees): 8.2671 6.3978 11.2369 90.00 90.00 90.00
Closest atoms and distances in Å follow each position.
Element x y z (fractional)
Rb 0.0068 0.2500 0.1999  7 H 2.87-3.14
Rb 0.1626 0.7500 0.4151  1 H 2.83
Rb 0.3374 0.2500 0.9151  1 H 2.83
Rb 0.4932 0.7500 0.6999  7 H 2.87-3.14
Rb 0.5068 0.2500 0.3001  7 H 2.87-3.14
Rb 0.6626 0.7500 0.0849  1 H 2.83
Rb 0.8374 0.2500 0.5849  1 H 2.83
Rb 0.9932 0.7500 0.8001  7 H 2.87-3.14
Mg 0.2273 0.7500 0.0803  4 H 1.84-1.86
Mg 0.2727 0.2500 0.5803  4 H 1.84-1.86
Mg 0.7273 0.7500 0.4197  4 H 1.84-1.86
Mg 0.7727 0.2500 0.9197  4 H 1.84-1.86
H 0.0048 0.7500 0.0791  1 Mg 1.84
H 0.1851 0.2500 0.4277  1 Mg 1.86
H 0.1953 0.0125 0.6553  1 Mg 1.85
H 0.1953 0.4875 0.6553  1 Mg 1.85
H 0.3047 0.5125 0.1553  1 Mg 1.85
H 0.3047 0.9875 0.1553  1 Mg 1.85
H 0.3149 0.7500 0.9277  1 Mg 1.86
H 0.4952 0.2500 0.5791  1 Mg 1.84
H 0.5048 0.7500 0.4209  1 Mg 1.84
H 0.6851 0.2500 0.0723  1 Mg 1.86
H 0.6953 0.0125 0.8447  1 Mg 1.85
H 0.6953 0.4875 0.8447  1 Mg 1.85
H 0.8047 0.5125 0.3447  1 Mg 1.85
H 0.8047 0.9875 0.3447  1 Mg 1.85
H 0.8149 0.7500 0.5723  1 Mg 1.86
H 0.9952 0.2500 0.9209  1 Mg 1.84

=====

# 4
DFT (PBE) results for a geometry-optimized Rb4Mg3H10 structure.

## Properties
- Calculated volume: 17.08 Å³/atom
- E_form: -0.33 eV/atom
- Total energy after the MP2020 corrections: -96.6 eV per cell

Lattice parameters (Å, degrees): 7.6986 7.6986 13.5683 90.00 90.00 133.75
Closest atoms and distances in Å follow each position.
Element x y z (fractional)
Rb 0.0409 0.9591 0.8606  10 H 2.88-3.09
Rb 0.2428 0.7572 0.6053  9 H 2.97-3.23
Rb 0.2572 0.7428 0.1053  9 H 2.97-3.23
Rb 0.4591 0.5409 0.3606  10 H 2.88-3.09
Rb 0.5409 0.4591 0.6394  10 H 2.88-3.09
Rb 0.7428 0.2572 0.8947  9 H 2.97-3.23
Rb 0.7572 0.2428 0.3947  9 H 2.97-3.23
Rb 0.9591 0.0409 0.1394  10 H 2.88-3.09
Mg 0.0000 0.0000 0.5000  6 H 1.98-1.99
Mg 0.1223 0.8777 0.3434  6 H 1.90-2.13
Mg 0.3777 0.6223 0.8434  6 H 1.90-2.13
Mg 0.5000 0.5000 0.0000  6 H 1.98-1.99
Mg 0.6223 0.3777 0.1566  6 H 1.90-2.13
Mg 0.8777 0.1223 0.6566  6 H 1.90-2.13
H 0.0274 0.9726 0.6437  2 Mg 1.99-2.13
H 0.1152 0.3125 0.5395  2 Mg 1.98-2.08
H 0.1392 0.3608 0.7500  2 Mg 1.98
H 0.1875 0.3848 0.9605  2 Mg 1.98-2.08
H 0.2439 0.7561 0.8519  1 Mg 1.90
H 0.2561 0.7439 0.3519  1 Mg 1.90
H 0.3125 0.1152 0.4605  2 Mg 1.98-2.08
H 0.3608 0.1392 0.2500  2 Mg 1.98
H 0.3848 0.1875 0.0395  2 Mg 1.98-2.08
H 0.4726 0.5274 0.1437  2 Mg 1.99-2.13
H 0.5274 0.4726 0.8563  2 Mg 1.99-2.13
H 0.6152 0.8125 0.9605  2 Mg 1.98-2.08
H 0.6392 0.8608 0.7500  2 Mg 1.98
H 0.6875 0.8848 0.5395  2 Mg 1.98-2.08
H 0.7439 0.2561 0.6481  1 Mg 1.90
H 0.7561 0.2439 0.1481  1 Mg 1.90
H 0.8125 0.6152 0.0395  2 Mg 1.98-2.08
H 0.8608 0.6392 0.2500  2 Mg 1.98
H 0.8848 0.6875 0.4605  2 Mg 1.98-2.08
H 0.9726 0.0274 0.3563  2 Mg 1.99-2.13

=====

# 5
DFT (PBE) results for a geometry-optimized Rb2MgH4 structure.

## Properties
- Calculated volume: 27.16 Å³/atom
- E_form: -0.23 eV/atom
- Size of the total moment: 0.00 μB/cell
- Total energy after the MP2020 corrections: -37.5 eV per cell

Lattice parameters (Å, degrees): 6.6666 6.6666 8.8087 90.00 90.00 103.79
Closest atoms and distances in Å follow each position.
Element x y z (fractional)
Rb 0.0000 0.0000 0.0000  4 H 2.88
Rb 0.0000 0.0000 0.5000  4 H 2.88
Rb 0.4095 0.5905 0.7500  6 H 2.77-3.07
Rb 0.5905 0.4095 0.2500  6 H 2.77-3.07
Mg 0.2442 0.7558 0.2500  4 H 1.84-1.89
Mg 0.7558 0.2442 0.7500  4 H 1.84-1.89
H 0.0457 0.2858 0.7500  1 Mg 1.89
H 0.2858 0.0457 0.2500  1 Mg 1.89
H 0.3385 0.6615 0.0734  1 Mg 1.84
H 0.3385 0.6615 0.4266  1 Mg 1.84
H 0.6615 0.3385 0.5734  1 Mg 1.84
H 0.6615 0.3385 0.9266  1 Mg 1.84
H 0.7142 0.9543 0.7500  1 Mg 1.89
H 0.9543 0.7142 0.2500  1 Mg 1.89

=====

# 6
DFT (PBE) results for a geometry-optimized Rb2MgH4 structure.

## Properties
- Calculated volume: 27.48 Å³/atom
- E_form: -0.23 eV/atom
- Size of the total moment: 0.00 μB/cell
- Total energy after the MP2020 corrections: -74.9 eV per cell

Lattice parameters (Å, degrees): 8.7703 8.2496 10.6360 90.00 90.00 90.00
Closest atoms and distances in Å follow each position.
Element x y z (fractional)
Rb 0.0106 0.2500 0.2392  4 H 2.84-2.88
Rb 0.2437 0.2500 0.8332  5 H 2.77-3.06
Rb 0.2563 0.7500 0.3332  5 H 2.77-3.06
Rb 0.4894 0.7500 0.7392  4 H 2.84-2.88
Rb 0.5106 0.2500 0.2608  4 H 2.84-2.88
Rb 0.7437 0.2500 0.6668  5 H 2.77-3.06
Rb 0.7563 0.7500 0.1668  5 H 2.77-3.06
Rb 0.9894 0.7500 0.7608  4 H 2.84-2.88
Mg 0.2409 0.2500 0.4860  4 H 1.84-1.89
Mg 0.2591 0.7500 0.9860  4 H 1.84-1.89
Mg 0.7409 0.2500 0.0140  4 H 1.84-1.89
Mg 0.7591 0.7500 0.5140  4 H 1.84-1.89
H 0.0499 0.2500 0.5579  1 Mg 1.84
H 0.0936 0.7500 0.0920  1 Mg 1.84
H 0.2435 0.5838 0.8648  1 Mg 1.89
H 0.2435 0.9162 0.8648  1 Mg 1.89
H 0.2565 0.0838 0.3648  1 Mg 1.89
H 0.2565 0.4162 0.3648  1 Mg 1.89
H 0.4064 0.2500 0.5920  1 Mg 1.84
H 0.4501 0.7500 0.0579  1 Mg 1.84
H 0.5499 0.2500 0.9421  1 Mg 1.84
H 0.5936 0.7500 0.4080  1 Mg 1.84
H 0.7435 0.5838 0.6352  1 Mg 1.89
H 0.7435 0.9162 0.6352  1 Mg 1.89
H 0.7565 0.0838 0.1352  1 Mg 1.89
H 0.7565 0.4162 0.1352  1 Mg 1.89
H 0.9064 0.2500 0.9080  1 Mg 1.84
H 0.9501 0.7500 0.4421  1 Mg 1.84

=====

# 7
DFT (PBE) results for a geometry-optimized Rb2MgH4 structure.

## Properties
- Calculated volume: 27.09 Å³/atom
- E_form: -0.23 eV/atom
- Size of the total moment: 0.00 μB/cell
- Total energy after the MP2020 corrections: -75.0 eV per cell

Lattice parameters (Å, degrees): 8.8025 8.2121 10.4925 90.00 90.00 90.00
Closest atoms and distances in Å follow each position.
Element x y z (fractional)
Rb 0.0086 0.2500 0.2467  4 H 2.88
Rb 0.2431 0.7500 0.3408  6 H 2.77-3.07
Rb 0.2569 0.2500 0.8408  6 H 2.77-3.07
Rb 0.4914 0.7500 0.7467  4 H 2.88
Rb 0.5086 0.2500 0.2533  4 H 2.88
Rb 0.7431 0.7500 0.1592  6 H 2.77-3.07
Rb 0.7569 0.2500 0.6592  6 H 2.77-3.07
Rb 0.9914 0.7500 0.7533  4 H 2.88
Mg 0.2434 0.7500 0.9944  4 H 1.84-1.88
Mg 0.2566 0.2500 0.4944  4 H 1.84-1.88
Mg 0.7434 0.7500 0.5056  4 H 1.84-1.88
Mg 0.7566 0.2500 0.0056  4 H 1.84-1.88
H 0.0663 0.7500 0.0881  1 Mg 1.84
H 0.0804 0.2500 0.5892  1 Mg 1.84
H 0.2437 0.5845 0.8701  1 Mg 1.88
H 0.2437 0.9155 0.8701  1 Mg 1.88
H 0.2563 0.0845 0.3701  1 Mg 1.88
H 0.2563 0.4155 0.3701  1 Mg 1.88
H 0.4196 0.7500 0.0892  1 Mg 1.84
H 0.4337 0.2500 0.5881  1 Mg 1.84
H 0.5663 0.7500 0.4119  1 Mg 1.84
H 0.5804 0.2500 0.9108  1 Mg 1.84
H 0.7437 0.5845 0.6299  1 Mg 1.88
H 0.7437 0.9155 0.6299  1 Mg 1.88
H 0.7563 0.0845 0.1299  1 Mg 1.88
H 0.7563 0.4155 0.1299  1 Mg 1.88
H 0.9196 0.7500 0.4108  1 Mg 1.84
H 0.9337 0.2500 0.9119  1 Mg 1.84

=====

# 8
DFT (PBE) results for a geometry-optimized Mg3ReH7 structure.

## Properties
- Calculated volume: 9.82 Å³/atom
- E_form: -0.36 eV/atom
- Total energy after the MP2020 corrections: -89.9 eV per cell

Lattice parameters (Å, degrees): 4.8469 4.8469 10.6213 90.00 90.00 120.00
Closest atoms and distances in Å follow each position.
Element x y z (fractional)
Mg 0.0000 0.0000 0.2500  6 H 2.15
Mg 0.0000 0.0000 0.7500  6 H 2.15
Mg 0.3333 0.6667 0.0687  1 H 1.93
Mg 0.3333 0.6667 0.4313  1 H 1.93
Mg 0.6667 0.3333 0.5687  1 H 1.93
Mg 0.6667 0.3333 0.9313  1 H 1.93
Re 0.0000 0.0000 0.0000  6 H 1.76
Re 0.0000 0.0000 0.5000  6 H 1.76
H 0.1688 0.3375 0.5978  1 Re 1.76
H 0.1688 0.3375 0.9022  1 Re 1.76
H 0.1688 0.8312 0.5978  1 Re 1.76
H 0.1688 0.8312 0.9022  1 Re 1.76
H 0.3333 0.6667 0.2500  2 Mg 1.93
H 0.3375 0.1688 0.0978  1 Re 1.76
H 0.3375 0.1688 0.4022  1 Re 1.76
H 0.6625 0.8312 0.5978  1 Re 1.76
H 0.6625 0.8312 0.9022  1 Re 1.76
H 0.6667 0.3333 0.7500  2 Mg 1.93
H 0.8312 0.1688 0.0978  1 Re 1.76
H 0.8312 0.1688 0.4022  1 Re 1.76
H 0.8312 0.6625 0.0978  1 Re 1.76
H 0.8312 0.6625 0.4022  1 Re 1.76

=====

# 9
DFT (PBE) results for a geometry-optimized Mg2H4Ru structure.

## Properties
- Calculated volume: 10.17 Å³/atom
- E_form: -0.33 eV/atom

Lattice parameters (Å, degrees): 5.4860 5.4860 4.8160 90.00 90.00 100.73
Closest atoms and distances in Å follow each position.
Element x y z (fractional)
Mg 0.0692 0.3520 0.2500  4 H 2.11-2.27
Mg 0.3520 0.0692 0.7500  4 H 2.11-2.27
Mg 0.6480 0.9308 0.2500  4 H 2.11-2.27
Mg 0.9308 0.6480 0.7500  4 H 2.11-2.27
H 0.1304 0.3537 0.7500  1 Ru 1.70
H 0.2780 0.7220 0.0153  1 Ru 1.67
H 0.2780 0.7220 0.4847  1 Ru 1.67
H 0.3537 0.1304 0.2500  1 Ru 1.70
H 0.6463 0.8696 0.7500  1 Ru 1.70
H 0.7220 0.2780 0.5153  1 Ru 1.67
H 0.7220 0.2780 0.9847  1 Ru 1.67
H 0.8696 0.6463 0.2500  1 Ru 1.70
Ru 0.1319 0.8681 0.2500  4 H 1.67-1.70
Ru 0.8681 0.1319 0.7500  4 H 1.67-1.70

=====

# 10
DFT (PBE) results for a geometry-optimized SmMg2H7 structure.

## Properties
- Calculated volume: 9.04 Å³/atom
- E_form: -0.43 eV/atom
- Size of the total moment: 0.00 μB/cell
- Total energy after the MP2020 corrections: -143.8 eV per cell

Lattice parameters (Å, degrees): 6.2180 6.2180 9.3520 90.00 90.00 90.00
Closest atoms and distances in Å follow each position.
Element x y z (fractional)
Sm 0.2292 0.2292 0.0000  12 H 2.27-2.48
Sm 0.2708 0.7292 0.2500  12 H 2.27-2.48
Sm 0.7292 0.2708 0.7500  12 H 2.27-2.48
Sm 0.7708 0.7708 0.5000  12 H 2.27-2.48
Mg 0.0320 0.7396 0.8998  7 H 1.91-2.12
Mg 0.2396 0.4680 0.6498  7 H 1.91-2.12
Mg 0.2604 0.9680 0.6002  7 H 1.91-2.12
Mg 0.4680 0.2396 0.3502  7 H 1.91-2.12
Mg 0.5320 0.7604 0.8502  7 H 1.91-2.12
Mg 0.7396 0.0320 0.1002  7 H 1.91-2.12
Mg 0.7604 0.5320 0.1498  7 H 1.91-2.12
Mg 0.9680 0.2604 0.3998  7 H 1.91-2.12
H 0.0234 0.9597 0.3770  1 Mg 1.91
H 0.0403 0.9766 0.1230  1 Mg 1.91
H 0.0671 0.4206 0.8220  2 Mg 1.96-2.12
H 0.0794 0.5671 0.0720  2 Mg 1.96-2.12
H 0.1543 0.6874 0.5021  2 Mg 2.01-2.08, 2 H 2.21-2.25
H 0.1874 0.3457 0.2521  2 Mg 2.01-2.08, 2 H 2.21-2.25
H 0.2484 0.7516 0.7500  4 Mg 1.94-2.00
H 0.2516 0.2516 0.5000  4 Mg 1.94-2.00
H 0.3126 0.8457 0.9979  2 Mg 2.01-2.08, 2 H 2.21-2.25
H 0.3457 0.1874 0.7479  2 Mg 2.01-2.08, 2 H 2.21-2.25
H 0.4206 0.0671 0.1780  2 Mg 1.96-2.12
H 0.4329 0.9206 0.4280  2 Mg 1.96-2.12
H 0.4597 0.4766 0.1270  1 Mg 1.91
H 0.4766 0.4597 0.8730  1 Mg 1.91
H 0.5234 0.5403 0.3730  1 Mg 1.91
H 0.5403 0.5234 0.6270  1 Mg 1.91
H 0.5671 0.0794 0.9280  2 Mg 1.96-2.12
H 0.5794 0.9329 0.6780  2 Mg 1.96-2.12
H 0.6543 0.8126 0.2479  2 Mg 2.01-2.08, 2 H 2.21-2.25
H 0.6874 0.1543 0.4979  2 Mg 2.01-2.08, 2 H 2.21-2.25
H 0.7484 0.7484 0.0000  4 Mg 1.94-2.00
H 0.7516 0.2484 0.2500  4 Mg 1.94-2.00
H 0.8126 0.6543 0.7521  2 Mg 2.01-2.08, 2 H 2.21-2.25
H 0.8457 0.3126 0.0021  2 Mg 2.01-2.08, 2 H 2.21-2.25
H 0.9206 0.4329 0.5720  2 Mg 1.96-2.12
H 0.9329 0.5794 0.3220  2 Mg 1.96-2.12
H 0.9597 0.0234 0.6230  1 Mg 1.91
H 0.9766 0.0403 0.8770  1 Mg 1.91

=====

# 11
DFT (PBE) results for a geometry-optimized SrMgH4 structure.

## Properties
- Calculated volume: 12.53 Å³/atom
- Largest piezoelectric modulus: 0.768 C/m²
- E_form: -0.50 eV/atom
- Total energy after the MP2020 corrections: -39.7 eV per cell

Lattice parameters (Å, degrees): 7.0547 7.0547 5.6137 90.00 90.00 147.45
Closest atoms and distances in Å follow each position.
Element x y z (fractional)
Sr 0.1513 0.8487 0.5000  8 H 2.44-2.57
Sr 0.8487 0.1513 0.0000  8 H 2.44-2.57
Mg 0.4152 0.5848 0.5458  6 H 1.89-2.02
Mg 0.5848 0.4152 0.0458  6 H 1.89-2.02
H 0.0746 0.9254 0.0824  2 Mg 1.99
H 0.2997 0.7003 0.7473  1 Mg 1.93
H 0.3343 0.6657 0.2690  1 Mg 1.90
H 0.4614 0.5386 0.8885  2 Mg 1.89-2.02
H 0.5386 0.4614 0.3885  2 Mg 1.89-2.02
H 0.6657 0.3343 0.7690  1 Mg 1.90
H 0.7003 0.2997 0.2473  1 Mg 1.93
H 0.9254 0.0746 0.5824  2 Mg 1.99

=====

# 12
DFT (PBE) results for a geometry-optimized Sr2MgH6 structure.

## Properties
- Calculated volume: 12.21 Å³/atom
- E_form: -0.54 eV/atom
- Total energy after the MP2020 corrections: -30.2 eV per cell

Lattice parameters (Å, degrees): 5.4924 5.4924 4.2067 90.00 90.00 120.00
Closest atoms and distances in Å follow each position.
Element x y z (fractional)
Sr 0.3333 0.6667 0.2374  12 H 2.57-2.75
Sr 0.6667 0.3333 0.7626  12 H 2.57-2.75
Mg 0.0000 0.0000 0.5000  6 H 1.96
H 0.1775 0.3550 0.7351  1 Mg 1.96
H 0.1775 0.8225 0.7351  1 Mg 1.96
H 0.3550 0.1775 0.2649  1 Mg 1.96
H 0.6450 0.8225 0.7351  1 Mg 1.96
H 0.8225 0.1775 0.2649  1 Mg 1.96
H 0.8225 0.6450 0.2649  1 Mg 1.96

=====

Question: Which value of calculated volume does entry 9 give?
Answer: 10.17 Å³/atom

=====

Please write out number 11 again, unchanged.
DFT (PBE) results for a geometry-optimized SrMgH4 structure.

## Properties
- Calculated volume: 12.53 Å³/atom
- Largest piezoelectric modulus: 0.768 C/m²
- E_form: -0.50 eV/atom
- Total energy after the MP2020 corrections: -39.7 eV per cell

Lattice parameters (Å, degrees): 7.0547 7.0547 5.6137 90.00 90.00 147.45
Closest atoms and distances in Å follow each position.
Element x y z (fractional)
Sr 0.1513 0.8487 0.5000  8 H 2.44-2.57
Sr 0.8487 0.1513 0.0000  8 H 2.44-2.57
Mg 0.4152 0.5848 0.5458  6 H 1.89-2.02
Mg 0.5848 0.4152 0.0458  6 H 1.89-2.02
H 0.0746 0.9254 0.0824  2 Mg 1.99
H 0.2997 0.7003 0.7473  1 Mg 1.93
H 0.3343 0.6657 0.2690  1 Mg 1.90
H 0.4614 0.5386 0.8885  2 Mg 1.89-2.02
H 0.5386 0.4614 0.3885  2 Mg 1.89-2.02
H 0.6657 0.3343 0.7690  1 Mg 1.90
H 0.7003 0.2997 0.2473  1 Mg 1.93
H 0.9254 0.0746 0.5824  2 Mg 1.99

=====

Question: Which formula does entry 3 have?
Answer: Rb2MgH4

=====

Question: Which of these has the highest calculated volume?
Answer: number 2